No. 1
A geometry-optimized Mg14BiCO16 structure, computed with GGA-PBE.

Output
Spin magnetization   1.00 μB per formula unit
Symmetry   P4/mmm (123)

Geometry as POSCAR:
```
Mg14BiCO16
1.0
-7.080 -4.878 -1.545
2.519 -5.620 6.195
-2.224 2.285 2.977
O Mg Bi C
16 14 1 1
direct
0.500 0.000 0.500 O
0.750 0.250 0.500 O
0.765 0.500 0.000 O
0.000 0.000 0.500 O
0.000 0.734 0.000 O
0.235 0.500 0.000 O
0.000 0.500 0.500 O
0.734 0.000 0.000 O
0.250 0.250 0.500 O
0.000 0.266 0.000 O
0.266 0.000 0.000 O
0.250 0.750 0.500 O
0.500 0.765 0.000 O
0.750 0.750 0.500 O
0.500 0.235 0.000 O
0.500 0.500 0.500 O
0.764 0.764 0.000 Mg
0.500 0.233 0.500 Mg
0.764 0.236 0.000 Mg
0.500 0.767 0.500 Mg
0.236 0.764 0.000 Mg
0.767 0.500 0.500 Mg
0.000 0.757 0.500 Mg
0.000 0.500 0.000 Mg
0.500 0.000 0.000 Mg
0.233 0.500 0.500 Mg
0.000 0.243 0.500 Mg
0.757 0.000 0.500 Mg
0.236 0.236 0.000 Mg
0.243 0.000 0.500 Mg
0.500 0.500 0.000 Bi
0.000 0.000 0.000 C
```

=====

No. 2
A geometry-optimized Mg14BiCO16 structure, computed with GGA-PBE.

Output
Spin magnetization   1.00 μB per formula unit
Symmetry   Pmmm (47)

Geometry as POSCAR:
```
Mg14BiCO16
1.0
8.902 0.000 0.000
0.000 8.642 0.000
0.000 0.000 4.329
O C Mg Bi
16 1 14 1
direct
0.247 0.250 0.500 O
0.266 0.500 0.000 O
0.500 0.746 0.000 O
0.719 0.000 0.000 O
0.247 0.750 0.500 O
0.000 0.500 0.500 O
0.000 0.000 0.500 O
0.500 0.000 0.500 O
0.000 0.764 0.000 O
0.500 0.254 0.000 O
0.734 0.500 0.000 O
0.281 0.000 0.000 O
0.753 0.750 0.500 O
0.753 0.250 0.500 O
0.500 0.500 0.500 O
0.000 0.236 0.000 O
0.000 0.000 0.000 C
0.256 0.766 0.000 Mg
0.500 0.000 0.000 Mg
0.744 0.766 0.000 Mg
0.251 0.000 0.500 Mg
0.000 0.229 0.500 Mg
0.733 0.500 0.500 Mg
0.267 0.500 0.500 Mg
0.000 0.771 0.500 Mg
0.500 0.244 0.500 Mg
0.256 0.234 0.000 Mg
0.749 0.000 0.500 Mg
0.500 0.756 0.500 Mg
0.744 0.234 0.000 Mg
0.500 0.500 0.000 Mg
0.000 0.500 0.000 Bi
```

=====

No. 3
A geometry-optimized Bi3C3N7 structure, computed with GGA-PBE.

Output
Spin magnetization   0.00 μB per formula unit
Symmetry   P2_12_12_1 (19)

Geometry as POSCAR:
```
Bi3C3N7
1.0
-5.428 4.074 -1.544
-4.987 -1.971 12.330
8.591 13.587 5.647
Bi N C
24 56 24
direct
0.057 0.068 0.795 Bi
0.657 0.264 0.894 Bi
0.843 0.736 0.394 Bi
0.860 0.845 0.667 Bi
0.546 0.571 0.941 Bi
0.343 0.764 0.606 Bi
0.640 0.155 0.167 Bi
0.128 0.570 0.086 Bi
0.360 0.655 0.333 Bi
0.557 0.432 0.205 Bi
0.943 0.568 0.705 Bi
0.363 0.199 0.326 Bi
0.637 0.699 0.174 Bi
0.863 0.301 0.674 Bi
0.872 0.070 0.414 Bi
0.454 0.071 0.559 Bi
0.046 0.929 0.059 Bi
0.954 0.429 0.441 Bi
0.628 0.930 0.914 Bi
0.443 0.932 0.295 Bi
0.157 0.236 0.106 Bi
0.137 0.801 0.826 Bi
0.140 0.345 0.833 Bi
0.372 0.430 0.586 Bi
0.500 0.386 0.339 N
0.343 0.222 0.782 N
0.418 0.585 0.219 N
0.082 0.415 0.719 N
0.880 0.569 0.199 N
0.581 0.192 0.465 N
0.179 0.907 0.559 N
0.352 0.857 0.975 N
0.657 0.722 0.718 N
0.620 0.431 0.699 N
0.289 0.451 0.443 N
0.148 0.143 0.475 N
0.990 0.060 0.166 N
0.157 0.778 0.282 N
0.369 0.304 0.010 N
0.886 0.236 0.802 N
0.010 0.560 0.334 N
0.614 0.764 0.302 N
0.493 0.084 0.932 N
0.985 0.298 0.350 N
0.131 0.696 0.510 N
0.081 0.308 0.535 N
0.789 0.049 0.557 N
0.993 0.416 0.068 N
0.114 0.736 0.698 N
0.510 0.940 0.666 N
0.648 0.357 0.525 N
0.386 0.264 0.198 N
0.507 0.584 0.568 N
0.000 0.614 0.839 N
0.120 0.069 0.301 N
0.451 0.467 0.069 N
0.582 0.085 0.281 N
0.852 0.643 0.025 N
0.000 0.114 0.661 N
0.843 0.278 0.218 N
0.679 0.593 0.441 N
0.631 0.804 0.490 N
0.500 0.886 0.161 N
0.380 0.931 0.801 N
0.211 0.549 0.943 N
0.951 0.033 0.931 N
0.485 0.202 0.650 N
0.007 0.916 0.432 N
0.869 0.196 0.990 N
0.821 0.407 0.941 N
0.919 0.808 0.965 N
0.549 0.967 0.431 N
0.321 0.093 0.059 N
0.049 0.533 0.569 N
0.515 0.702 0.850 N
0.419 0.692 0.035 N
0.918 0.915 0.781 N
0.015 0.798 0.150 N
0.711 0.951 0.057 N
0.490 0.440 0.834 N
0.409 0.212 0.715 C
0.555 0.437 0.767 C
0.906 0.410 0.004 C
0.094 0.910 0.496 C
0.613 0.274 0.495 C
0.394 0.420 0.390 C
0.606 0.920 0.110 C
0.594 0.590 0.504 C
0.589 0.885 0.462 C
0.894 0.080 0.610 C
0.945 0.563 0.267 C
0.055 0.063 0.233 C
0.406 0.090 0.996 C
0.445 0.937 0.733 C
0.113 0.226 0.505 C
0.091 0.788 0.215 C
0.887 0.726 0.995 C
0.387 0.774 0.005 C
0.411 0.385 0.038 C
0.909 0.288 0.285 C
0.591 0.712 0.785 C
0.106 0.580 0.890 C
0.089 0.615 0.538 C
0.911 0.115 0.962 C
```

=====

No. 4
A geometry-optimized Na5Bi2PC4O16 structure, computed with GGA-PBE.

Output
Spin magnetization   0.00 μB per formula unit
Symmetry   Fdd2 (43)

Geometry as POSCAR:
```
Na5Bi2PC4O16
1.0
0.000 7.312 7.475
7.272 0.000 7.475
7.272 7.312 0.000
C O Bi P Na
8 32 4 2 10
direct
0.033 0.029 0.772 C
0.029 0.033 0.166 C
0.084 0.478 0.221 C
0.478 0.084 0.217 C
0.027 0.416 0.780 C
0.470 0.472 0.223 C
0.416 0.027 0.778 C
0.472 0.470 0.834 C
0.462 0.353 0.832 O
0.599 0.098 0.091 O
0.601 0.458 0.836 O
0.054 0.801 0.572 O
0.678 0.678 0.449 O
0.898 0.038 0.175 O
0.362 0.075 0.212 O
0.678 0.678 0.196 O
0.897 0.418 0.897 O
0.810 0.809 0.567 O
0.037 0.417 0.647 O
0.418 0.897 0.788 O
0.075 0.362 0.352 O
0.417 0.037 0.898 O
0.353 0.462 0.353 O
0.683 0.436 0.440 O
0.414 0.146 0.649 O
0.081 0.471 0.100 O
0.809 0.810 0.814 O
0.603 0.352 0.213 O
0.902 0.150 0.779 O
0.801 0.054 0.572 O
0.098 0.599 0.212 O
0.436 0.683 0.441 O
0.458 0.601 0.104 O
0.471 0.081 0.348 O
0.038 0.898 0.888 O
0.352 0.603 0.833 O
0.150 0.902 0.169 O
0.159 0.038 0.651 O
0.146 0.414 0.792 O
0.038 0.159 0.152 O
0.249 0.246 0.009 Bi
0.246 0.249 0.496 Bi
0.241 0.754 0.001 Bi
0.754 0.241 0.004 Bi
0.872 0.872 0.628 P
0.622 0.622 0.378 P
0.686 0.061 0.825 Na
0.432 0.432 0.568 Na
0.059 0.685 0.825 Na
0.425 0.819 0.191 Na
0.682 0.682 0.818 Na
0.685 0.059 0.431 Na
0.821 0.425 0.189 Na
0.061 0.686 0.429 Na
0.425 0.821 0.564 Na
0.819 0.425 0.565 Na
```

=====

No. 5
A geometry-optimized Na5Bi2PC4O16 structure, computed with GGA-PBE.

Output
Spin magnetization   0.00 μB per formula unit
Symmetry   C2/c (15)

Geometry as POSCAR:
```
Na5Bi2PC4O16
1.0
7.469 7.288 0.000
-7.469 7.288 0.000
0.000 7.187 7.318
O C Na Bi P
32 8 10 4 2
direct
0.713 0.405 0.435 O
0.695 0.056 0.875 O
0.595 0.287 0.065 O
0.851 0.397 0.934 O
0.667 0.614 0.682 O
0.305 0.944 0.125 O
0.405 0.713 0.935 O
0.146 0.715 0.683 O
0.062 0.939 0.374 O
0.139 0.330 0.962 O
0.667 0.718 0.431 O
0.718 0.667 0.931 O
0.285 0.854 0.817 O
0.944 0.305 0.625 O
0.333 0.282 0.569 O
0.614 0.667 0.182 O
0.715 0.146 0.183 O
0.397 0.851 0.434 O
0.287 0.595 0.565 O
0.670 0.861 0.538 O
0.386 0.333 0.818 O
0.149 0.603 0.066 O
0.282 0.333 0.069 O
0.854 0.285 0.317 O
0.333 0.386 0.318 O
0.056 0.695 0.375 O
0.061 0.938 0.126 O
0.603 0.149 0.566 O
0.938 0.061 0.626 O
0.330 0.139 0.462 O
0.939 0.062 0.874 O
0.861 0.670 0.038 O
0.333 0.270 0.448 C
0.720 0.277 0.059 C
0.277 0.720 0.559 C
0.730 0.667 0.052 C
0.280 0.723 0.941 C
0.270 0.333 0.948 C
0.723 0.280 0.441 C
0.667 0.730 0.552 C
0.929 0.677 0.635 Na
0.677 0.929 0.759 Na
0.066 0.934 0.750 Na
0.677 0.929 0.135 Na
0.929 0.677 0.259 Na
0.934 0.066 0.250 Na
0.071 0.323 0.365 Na
0.323 0.071 0.241 Na
0.071 0.323 0.741 Na
0.323 0.071 0.865 Na
0.500 0.000 0.500 Bi
0.000 0.500 0.000 Bi
0.500 0.500 0.000 Bi
0.500 0.500 0.500 Bi
0.124 0.876 0.250 P
0.876 0.124 0.750 P
```

=====

No. 6
A geometry-optimized Na2BiPCO7 structure, computed with GGA-PBE.

Output
Symmetry   P2_1/m (11)

Geometry as POSCAR:
```
Na2BiPCO7
1.0
-1.182 6.025 -3.356
-4.402 0.731 2.863
4.748 4.650 6.677
Bi Na O C P
2 4 14 2 2
direct
0.250 0.224 0.381 Bi
0.750 0.776 0.619 Bi
0.990 0.767 0.213 Na
0.490 0.233 0.787 Na
0.510 0.767 0.213 Na
0.010 0.233 0.787 Na
0.250 0.472 0.166 O
0.250 0.767 0.430 O
0.072 0.856 0.661 O
0.750 0.528 0.834 O
0.250 0.285 0.953 O
0.750 0.715 0.047 O
0.928 0.144 0.339 O
0.572 0.144 0.339 O
0.750 0.233 0.570 O
0.750 0.948 0.842 O
0.750 0.564 0.370 O
0.250 0.052 0.158 O
0.250 0.436 0.630 O
0.428 0.856 0.661 O
0.250 0.271 0.085 C
0.750 0.729 0.915 C
0.750 0.277 0.403 P
0.250 0.723 0.597 P
```

=====

No. 7
A geometry-optimized Na5Bi2PC4O16 structure, computed with GGA-PBE.

Output
Spin magnetization   0.00 μB per formula unit
Symmetry   F222 (22)

Geometry as POSCAR:
```
Na5Bi2PC4O16
1.0
0.000 7.335 7.464
7.290 0.000 7.464
7.290 7.335 0.000
P Bi O C Na
2 4 32 8 10
direct
0.500 0.500 0.500 P
0.750 0.750 0.750 P
0.130 0.128 0.118 Bi
0.128 0.130 0.624 Bi
0.118 0.624 0.130 Bi
0.624 0.118 0.128 Bi
0.316 0.568 0.558 O
0.342 0.220 0.972 O
0.905 0.295 0.775 O
0.689 0.689 0.688 O
0.568 0.316 0.558 O
0.025 0.775 0.295 O
0.224 0.958 0.340 O
0.688 0.933 0.689 O
0.295 0.905 0.025 O
0.477 0.340 0.958 O
0.226 0.475 0.961 O
0.764 0.292 0.026 O
0.972 0.466 0.342 O
0.919 0.776 0.010 O
0.918 0.026 0.292 O
0.558 0.558 0.316 O
0.776 0.919 0.295 O
0.558 0.558 0.568 O
0.961 0.339 0.226 O
0.340 0.477 0.224 O
0.026 0.918 0.764 O
0.958 0.224 0.477 O
0.010 0.295 0.919 O
0.689 0.689 0.933 O
0.339 0.961 0.475 O
0.775 0.025 0.905 O
0.292 0.764 0.918 O
0.220 0.342 0.466 O
0.466 0.972 0.220 O
0.933 0.688 0.689 O
0.475 0.226 0.339 O
0.295 0.010 0.776 O
0.906 0.907 0.293 C
0.963 0.344 0.348 C
0.894 0.293 0.907 C
0.293 0.894 0.906 C
0.344 0.963 0.345 C
0.907 0.906 0.894 C
0.348 0.345 0.963 C
0.345 0.348 0.344 C
0.943 0.943 0.557 Na
0.944 0.556 0.556 Na
0.557 0.557 0.943 Na
0.690 0.310 0.690 Na
0.944 0.556 0.944 Na
0.309 0.691 0.691 Na
0.556 0.944 0.944 Na
0.310 0.690 0.310 Na
0.556 0.944 0.556 Na
0.691 0.309 0.309 Na
```

=====

No. 8
A geometry-optimized NaBiPCO7 structure, computed with GGA-PBE.

Output
Spin magnetization   0.86 μB per formula unit
Symmetry   P2_1 (4)

Geometry as POSCAR:
```
NaBiPCO7
1.0
-6.130 -2.635 -2.033
2.430 -2.355 -4.275
1.690 -7.845 5.073
O Bi C P Na
14 2 2 2 2
direct
0.587 0.193 0.329 O
0.788 0.559 0.418 O
0.750 0.689 0.057 O
0.241 0.810 0.424 O
0.436 0.851 0.652 O
0.741 0.190 0.576 O
0.734 0.942 0.866 O
0.250 0.311 0.943 O
0.234 0.058 0.134 O
0.217 0.464 0.156 O
0.936 0.149 0.348 O
0.717 0.536 0.844 O
0.087 0.807 0.671 O
0.288 0.441 0.582 O
0.268 0.216 0.366 Bi
0.768 0.784 0.634 Bi
0.733 0.726 0.926 C
0.233 0.274 0.074 C
0.262 0.723 0.583 P
0.762 0.277 0.417 P
0.983 0.769 0.218 Na
0.483 0.231 0.782 Na
```

=====

| no. | formation enthalpy at 0 K (eV/f.u.) |
| --- | --- |
| 1 | -80.172 |
| 2 | -80.454 |
| 3 | 1.782 |
| 4 | -56.286 |
| 5 | -56.256 |
| 6 | -27.178 |
| 7 | -56.181 |
| 8 | -22.717 |